Material: Li6CrFe3P6O24
Method: DFT, PBE+U
State: relaxed

a = 8.572 Å, b = 8.621 Å, c = 8.622 Å
α = 61.37°, β = 61.39°, γ = 61.40°
Fractional coordinates of all 40 atoms:
Li1 0.025 0.007 0.997
Li2 0.750 0.153 0.347
Li3 0.476 0.503 0.494
Li4 0.250 0.843 0.653
Li5 0.655 0.252 0.841
Li6 0.841 0.655 0.249
Cr1 0.856 0.854 0.854
Fe1 0.146 0.145 0.137
Fe2 0.353 0.363 0.355
Fe3 0.647 0.648 0.649
P1 0.048 0.751 0.453
P2 0.454 0.049 0.748
P3 0.750 0.456 0.046
P4 0.249 0.542 0.958
P5 0.544 0.962 0.250
P6 0.955 0.248 0.538
O1 0.127 0.291 0.496
O2 0.301 0.510 0.119
O3 0.045 0.923 0.271
O4 0.530 0.120 0.296
O5 0.239 0.593 0.430
O6 0.019 0.803 0.615
O7 0.264 0.068 0.908
O8 0.452 0.232 0.577
O9 0.593 0.431 0.240
O10 0.197 0.381 0.991
O11 0.088 0.735 0.935
O12 0.372 0.004 0.207
O13 0.616 0.016 0.805
O14 0.908 0.262 0.067
O15 0.805 0.616 0.016
O16 0.410 0.567 0.764
O17 0.566 0.768 0.411
O18 0.734 0.934 0.086
O19 0.970 0.201 0.379
O20 0.765 0.412 0.568
O21 0.486 0.886 0.693
O22 0.937 0.087 0.730
O23 0.691 0.488 0.887
O24 0.887 0.690 0.490

Results
Crystal system   triclinic
ΔH_f (0 K)   -100.130 eV per formula unit